Record 1
Computed, not measured: a relaxed MgZnCo4O8 crystal at the PBE with a Hubbard U level of DFT.

Cell lengths 2.9566, 7.0852, 7.8449 Å; angles 82.88, 79.76, 78.16 degrees
Last column: nearest neighbours and their distance in Å.
Atoms (fractional coordinates):
O (0.7762, 0.0528, 0.3847)  1 Co 1.86, 1 Zn 2.06
O (0.0935, 0.3837, 0.4222)  3 Co 1.88-1.90
O (0.9672, 0.0493, 0.0201)  2 Mg 1.99-2.00, 2 Zn 2.00-2.04
Co (0.0615, 0.5812, 0.2391)  4 O 1.79-1.94
Co (0.2987, 0.8511, 0.5394)  4 O 2.01-2.04
O (0.2437, 0.5424, 0.0135)  1 Co 1.79
Co (0.8275, 0.5290, 0.8354)  5 O 1.84-2.04
Co (0.6067, 0.2515, 0.5316)  6 O 1.86-1.96
O (0.4721, 0.7285, 0.3089)  3 Co 1.87-2.04
O (0.1247, 0.1043, 0.6458)  3 Co 1.96-2.01, 2 Mg 2.13-2.15
Mg (0.5487, 0.0559, 0.8460)  4 O 1.99-2.15
Zn (0.3843, 0.0300, 0.1990)  5 O 2.00-2.18
O (0.4447, 0.3810, 0.7378)  3 Co 1.90-1.99
O (0.7592, 0.7688, 0.7127)  3 Co 1.84-2.04

Space-group type: P1
E in eV per atom: -5.602

Record 2
Computed, not measured: a relaxed LiCrP2O8 crystal at the PBE with a Hubbard U level of DFT.

Cell lengths 5.1827, 10.5266, 11.0855 Å; angles 90.00, 90.00, 90.00 degrees
Last column: nearest neighbours and their distance in Å.
Atoms (fractional coordinates):
O (0.2550, 0.2307, 0.0709)  1 P 1.50
O (0.2452, 0.0140, 0.1642)  2 P 1.62-1.63
O (0.7450, 0.7307, 0.4291)  1 P 1.50
P (0.2395, 0.0923, 0.0384)  4 O 1.50-1.62
O (0.9881, 0.0527, 0.9776)  1 P 1.53
Cr (0.2337, 0.4026, 0.1429)  1 O 1.60
Cr (0.2663, 0.5974, 0.6429)  1 O 1.60
O (0.7550, 0.2693, 0.9291)  1 P 1.50
O (0.2047, 0.7968, 0.0558)  1 P 1.51
O (0.7452, 0.4860, 0.8358)  2 P 1.62-1.63
P (0.2572, 0.8595, 0.1753)  4 O 1.51-1.63
O (0.9636, 0.3241, 0.2376)  1 P 1.54
P (0.2605, 0.9077, 0.5384)  4 O 1.50-1.62
Li (0.7194, 0.2659, 0.6098)  2 O 1.90-2.10
Li (0.2194, 0.2341, 0.3902)  2 O 1.90-2.10
O (0.2953, 0.2032, 0.5558)  1 P 1.51
O (0.2541, 0.4644, 0.7126)  1 Cr 1.60
P (0.7395, 0.4077, 0.9616)  4 O 1.50-1.62
P (0.7605, 0.5923, 0.4616)  4 O 1.50-1.62
O (0.9753, 0.1736, 0.7271)  1 P 1.54
O (0.2459, 0.5356, 0.2126)  1 Cr 1.60
P (0.7428, 0.3595, 0.3247)  4 O 1.51-1.63
Cr (0.7337, 0.0974, 0.8571)  1 O 1.60
Li (0.2806, 0.7659, 0.8902)  2 O 1.90-2.10
P (0.7572, 0.6405, 0.8247)  4 O 1.51-1.63
O (0.7047, 0.7032, 0.9442)  1 P 1.51
O (0.4758, 0.0418, 0.9703)  1 P 1.53
P (0.2428, 0.1405, 0.6753)  4 O 1.51-1.63
Cr (0.7663, 0.9026, 0.3571)  1 O 1.60
O (0.0247, 0.6736, 0.7729)  1 P 1.54
O (0.0242, 0.9582, 0.4703)  1 P 1.53
Li (0.7806, 0.7341, 0.1098)  2 O 1.90-2.10
O (0.5364, 0.6759, 0.7376)  1 P 1.54
O (0.7953, 0.2968, 0.4442)  1 P 1.51
O (0.4753, 0.3264, 0.2729)  1 P 1.54
O (0.2450, 0.7693, 0.5709)  1 P 1.50
O (0.7459, 0.9644, 0.7874)  1 Cr 1.60
O (0.4881, 0.4473, 0.0224)  1 P 1.53
O (0.2548, 0.9860, 0.6642)  2 P 1.62-1.63
O (0.9758, 0.4582, 0.0297)  1 P 1.53
O (0.5119, 0.9473, 0.4776)  1 P 1.53
O (0.7541, 0.0356, 0.2874)  1 Cr 1.60
O (0.5242, 0.5418, 0.5297)  1 P 1.53
O (0.0119, 0.5527, 0.5224)  1 P 1.53
O (0.7548, 0.5140, 0.3358)  2 P 1.62-1.63
O (0.4636, 0.1759, 0.7624)  1 P 1.54
O (0.0364, 0.8241, 0.2624)  1 P 1.54
O (0.5247, 0.8264, 0.2271)  1 P 1.54

Space-group type: P2_12_12_1
E in eV per atom: -6.898
Maximum piezoelectric response in C/m2: 0.19

Record 3
Computed, not measured: a relaxed Li2W2O7 crystal at the PBE with a Hubbard U level of DFT.

Cell lengths 5.1852, 7.1037, 8.5073 Å; angles 69.91, 77.84, 85.75 degrees
Last column: nearest neighbours and their distance in Å.
Atoms (fractional coordinates):
O (0.6439, 0.8130, 0.9633)  1 W 1.80
O (0.9513, 0.3934, 0.8706)  2 W 1.95-2.04, 1 Li 2.08
O (0.5383, 0.4399, 0.2336)  1 W 1.87, 1 Li 2.03
O (0.0813, 0.2134, 0.3672)  1 W 1.77, 1 Li 1.94
Li (0.1403, 0.0014, 0.2675)  4 O 1.94-2.09
Li (0.3091, 0.7423, 0.9011)  4 O 2.00-2.08
Li (0.8597, 0.9986, 0.7325)  4 O 1.94-2.09
O (0.3498, 0.7501, 0.2990)  1 W 1.89, 1 Li 1.99
O (0.1809, 0.0244, 0.8177)  1 W 1.80, 2 Li 1.99-2.00
O (0.0487, 0.6066, 0.1294)  2 W 1.95-2.04, 1 Li 2.08
O (0.8191, 0.9756, 0.1823)  1 W 1.80, 2 Li 1.99-2.00
W (0.8152, 0.5414, 0.6655)  4 O 1.77-1.97
W (0.3018, 0.2538, 0.8223)  3 O 1.80-1.89
O (0.3561, 0.1870, 0.0367)  1 W 1.80
O (0.4617, 0.5601, 0.7664)  1 W 1.87, 1 Li 2.03
O (0.6502, 0.2499, 0.7010)  1 W 1.89, 1 Li 1.99
O (0.8228, 0.5845, 0.4227)  2 W 1.97-2.12
W (0.6982, 0.7462, 0.1777)  3 O 1.80-1.89
O (0.9187, 0.7866, 0.6328)  1 W 1.77, 1 Li 1.94
Li (0.6909, 0.2577, 0.0989)  4 O 2.00-2.08
W (0.1848, 0.4586, 0.3345)  4 O 1.77-1.97
O (0.1772, 0.4155, 0.5773)  2 W 1.97-2.12

Space-group type: P-1
E in eV per atom: -6.889

Record 4
Computed, not measured: a relaxed Li9Mn7O16 crystal at the PBE with a Hubbard U level of DFT.

Cell lengths 5.0873, 5.2937, 11.3635 Å; angles 84.61, 88.06, 77.63 degrees
Last column: nearest neighbours and their distance in Å.
Atoms (fractional coordinates):
O (0.6407, 0.3346, 0.3945)  2 Mn 1.95-1.98, 3 Li 2.12-2.16
O (0.8616, 0.5306, 0.7321)  2 Mn 1.96, 2 Li 2.13-2.16
Mn (0.9994, 0.3911, 0.1200)  6 O 1.89-2.04
O (0.3593, 0.6654, 0.6055)  2 Mn 1.95-1.98, 3 Li 2.12-2.16
Li (0.7459, 0.6770, 0.3125)  5 O 2.02-2.15
Li (0.2667, 0.0791, 0.9369)  5 O 2.05-2.19
Mn (0.0006, 0.6089, 0.8800)  6 O 1.89-2.04
Li (0.2541, 0.3230, 0.6875)  5 O 2.02-2.15
Li (0.2618, 0.8156, 0.1804)  6 O 2.12-2.20
O (0.8815, 0.0829, 0.2118)  3 Mn 2.00-2.04, 2 Li 2.18-2.19
Mn (0.5037, 0.2678, 0.2417)  4 O 1.92-2.00
O (0.8951, 0.3150, 0.9687)  2 Mn 1.92-1.94, 3 Li 2.07-2.13
O (0.1363, 0.2099, 0.5237)  2 Mn 1.97-1.98, 2 Li 2.12-2.15
Mn (0.4963, 0.7322, 0.7583)  4 O 1.92-2.00
O (0.6396, 0.8334, 0.8968)  2 Mn 1.92-1.98, 3 Li 2.08-2.13
Li (0.7333, 0.9209, 0.0631)  5 O 2.05-2.19
O (0.8637, 0.7901, 0.4763)  2 Mn 1.97-1.98, 2 Li 2.12-2.15
O (0.1185, 0.9171, 0.7882)  3 Mn 2.00-2.04, 2 Li 2.18-2.19
Li (0.5000, 0.5000, 0.0000)  6 O 2.06-2.26
O (0.3631, 0.9167, 0.3530)  2 Mn 1.95, 1 Li 2.15
O (0.3604, 0.1666, 0.1032)  2 Mn 1.92-1.98, 3 Li 2.08-2.13
O (0.3468, 0.4098, 0.8480)  1 Mn 1.89, 3 Li 2.02-2.06
O (0.6532, 0.5902, 0.1520)  1 Mn 1.89, 3 Li 2.02-2.06
Mn (0.0045, 0.1301, 0.3724)  4 O 1.95-2.00
Li (0.7382, 0.1844, 0.8196)  6 O 2.12-2.20
Li (0.2500, 0.5649, 0.4377)  6 O 2.12-2.21
O (0.6369, 0.0833, 0.6470)  2 Mn 1.95, 1 Li 2.15
Mn (0.9955, 0.8699, 0.6276)  4 O 1.95-2.00
Mn (0.5000, 0.0000, 0.5000)  4 O 1.95-1.97
O (0.1384, 0.4694, 0.2679)  2 Mn 1.96, 2 Li 2.13-2.16
Li (0.7500, 0.4351, 0.5623)  6 O 2.12-2.21
O (0.1049, 0.6850, 0.0313)  2 Mn 1.92-1.94, 3 Li 2.07-2.13

Space-group type: P-1
E in eV per atom: -6.450

Record 5
Computed, not measured: a relaxed PrV2O2 crystal at the PBE with a Hubbard U level of DFT.

Cell lengths 7.9306, 7.9306, 7.9306 Å; angles 108.88, 108.88, 110.66 degrees
Last column: nearest neighbours and their distance in Å.
Atoms (fractional coordinates):
O (0.3644, 0.5246, 0.1601)  3 V 2.08-2.32, 1 Pr 2.31
V (0.1550, 0.4914, 0.6636)  3 O 2.08-2.32
V (0.7414, 0.9050, 0.1636)  3 O 2.08-2.32
Pr (0.6250, 0.8750, 0.7500)  2 O 2.31
V (0.4222, 0.2586, 0.1636)  3 O 2.08-2.32
O (0.7746, 0.1144, 0.6601)  3 V 2.08-2.32, 1 Pr 2.31
Pr (0.1250, 0.8750, 0.2500)  2 O 2.31
V (0.7414, 0.5778, 0.8364)  3 O 2.08-2.32
O (0.4754, 0.6356, 0.8399)  3 V 2.08-2.32, 1 Pr 2.31
V (0.8278, 0.4914, 0.3364)  3 O 2.08-2.32
O (0.3644, 0.2043, 0.8399)  3 V 2.08-2.32, 1 Pr 2.31
O (0.8856, 0.5457, 0.6601)  3 V 2.08-2.32, 1 Pr 2.31
V (0.5086, 0.1722, 0.6636)  3 O 2.08-2.32
O (0.4543, 0.1144, 0.3399)  3 V 2.08-2.32, 1 Pr 2.31
O (0.8856, 0.2254, 0.3399)  3 V 2.08-2.32, 1 Pr 2.31
Pr (0.1250, 0.8750, 0.7500)  2 O 2.31
O (0.7957, 0.6356, 0.1601)  3 V 2.08-2.32, 1 Pr 2.31
V (0.5086, 0.8450, 0.3364)  3 O 2.08-2.32
Pr (0.1250, 0.3750, 0.2500)  2 O 2.31
V (0.0950, 0.2586, 0.8364)  3 O 2.08-2.32

Space-group type: I4_1/amd
E in eV per atom: -6.504

> What is the E in the second record?

-6.898 eV per atom

What did the third record say?
Computed, not measured: a relaxed Li2W2O7 crystal at the PBE with a Hubbard U level of DFT.

Cell lengths 5.1852, 7.1037, 8.5073 Å; angles 69.91, 77.84, 85.75 degrees
Last column: nearest neighbours and their distance in Å.
Atoms (fractional coordinates):
O (0.6439, 0.8130, 0.9633)  1 W 1.80
O (0.9513, 0.3934, 0.8706)  2 W 1.95-2.04, 1 Li 2.08
O (0.5383, 0.4399, 0.2336)  1 W 1.87, 1 Li 2.03
O (0.0813, 0.2134, 0.3672)  1 W 1.77, 1 Li 1.94
Li (0.1403, 0.0014, 0.2675)  4 O 1.94-2.09
Li (0.3091, 0.7423, 0.9011)  4 O 2.00-2.08
Li (0.8597, 0.9986, 0.7325)  4 O 1.94-2.09
O (0.3498, 0.7501, 0.2990)  1 W 1.89, 1 Li 1.99
O (0.1809, 0.0244, 0.8177)  1 W 1.80, 2 Li 1.99-2.00
O (0.0487, 0.6066, 0.1294)  2 W 1.95-2.04, 1 Li 2.08
O (0.8191, 0.9756, 0.1823)  1 W 1.80, 2 Li 1.99-2.00
W (0.8152, 0.5414, 0.6655)  4 O 1.77-1.97
W (0.3018, 0.2538, 0.8223)  3 O 1.80-1.89
O (0.3561, 0.1870, 0.0367)  1 W 1.80
O (0.4617, 0.5601, 0.7664)  1 W 1.87, 1 Li 2.03
O (0.6502, 0.2499, 0.7010)  1 W 1.89, 1 Li 1.99
O (0.8228, 0.5845, 0.4227)  2 W 1.97-2.12
W (0.6982, 0.7462, 0.1777)  3 O 1.80-1.89
O (0.9187, 0.7866, 0.6328)  1 W 1.77, 1 Li 1.94
Li (0.6909, 0.2577, 0.0989)  4 O 2.00-2.08
W (0.1848, 0.4586, 0.3345)  4 O 1.77-1.97
O (0.1772, 0.4155, 0.5773)  2 W 1.97-2.12

Space-group type: P-1
E in eV per atom: -6.889

> Among the records above, which one has the lowest E?

LiCrP2O8

> Look up the E of the fourth one.

-6.450 eV per atom